1.
DFT (meta-GGA r2SCAN) results for crystalline La3IrO7 at its relaxed geometry.

Calculated values
total energy	-19.557	eV/atom
formation enthalpy at 0 K	-2.8837	eV/atom

Cell lengths 6.742, 6.742, 7.621 Å; angles 90.00, 90.00, 112.95 degrees
Atoms (fractional coordinates):
O1 0.100 0.840 0.750
O2 0.445 0.193 0.543
O3 0.193 0.445 0.957
O4 0.840 0.100 0.750
O5 0.807 0.555 0.457
O6 0.193 0.445 0.543
O7 0.592 0.592 0.750
O8 0.807 0.555 0.043
O9 0.160 0.900 0.250
O10 0.555 0.807 0.457
O11 0.445 0.193 0.957
O12 0.555 0.807 0.043
O13 0.900 0.160 0.250
O14 0.408 0.408 0.250
La1 0.094 0.535 0.250
La2 0.465 0.906 0.750
La3 0.000 0.000 0.500
La4 0.906 0.465 0.750
La5 0.000 0.000 0.000
La6 0.535 0.094 0.250
Ir1 0.500 0.500 0.000
Ir2 0.500 0.500 0.500


2.
DFT (meta-GGA r2SCAN) results for crystalline LaSbIr at its relaxed geometry.

Calculated values
total energy	-36.951	eV/atom
formation enthalpy at 0 K	-1.0146	eV/atom

Cell lengths 4.631, 7.562, 7.998 Å; angles 90.00, 90.00, 90.00 degrees
Atoms (fractional coordinates):
La1 0.750 0.482 0.809
La2 0.250 0.518 0.191
La3 0.250 0.018 0.309
La4 0.750 0.982 0.691
Sb1 0.750 0.827 0.086
Sb2 0.250 0.673 0.586
Sb3 0.250 0.173 0.914
Sb4 0.750 0.327 0.414
Ir1 0.250 0.799 0.907
Ir2 0.250 0.299 0.593
Ir3 0.750 0.701 0.407
Ir4 0.750 0.201 0.093


3.
DFT (meta-GGA r2SCAN) results for crystalline LaSi2Ir2 at its relaxed geometry.

Calculated values
total energy	-31.526	eV/atom
formation enthalpy at 0 K	-1.1238	eV/atom

Cell lengths 4.208, 4.208, 9.957 Å; angles 90.00, 90.00, 90.00 degrees
Atoms (fractional coordinates):
Ir1 0.000 0.500 0.374
Ir2 0.500 0.000 0.626
Ir3 0.500 0.500 0.000
Ir4 0.000 0.000 0.000
Si1 0.000 0.000 0.500
Si2 0.000 0.500 0.127
Si3 0.500 0.000 0.873
Si4 0.500 0.500 0.500
La1 0.000 0.500 0.744
La2 0.500 0.000 0.256


4.
DFT (meta-GGA r2SCAN) results for crystalline LaSi2Ir2 at its relaxed geometry.

Calculated values
total energy	-31.544	eV/atom
formation enthalpy at 0 K	-1.1421	eV/atom

Cell lengths 4.130, 4.130, 5.940 Å; angles 110.34, 110.34, 89.98 degrees
Atoms (fractional coordinates):
La1 0.000 0.000 0.000
Ir1 0.250 0.750 0.500
Ir2 0.750 0.250 0.500
Si1 0.371 0.371 0.742
Si2 0.629 0.629 0.258


5.
DFT (meta-GGA r2SCAN) results for crystalline LaSi3Ir at its relaxed geometry.

Calculated values
total energy	-22.587	eV/atom
formation enthalpy at 0 K	-0.9017	eV/atom

Cell lengths 4.288, 4.288, 5.794 Å; angles 111.72, 111.72, 90.00 degrees
Atoms (fractional coordinates):
La1 0.999 0.999 0.997
Si1 0.762 0.262 0.524
Si2 0.262 0.762 0.524
Si3 0.413 0.413 0.825
Ir1 0.654 0.654 0.308


6.
DFT (meta-GGA r2SCAN) results for crystalline LaSiIr at its relaxed geometry.

Calculated values
total energy	-31.415	eV/atom
formation enthalpy at 0 K	-1.1226	eV/atom

Cell lengths 6.412, 6.412, 6.412 Å; angles 90.00, 90.00, 90.00 degrees
Atoms (fractional coordinates):
Si1 0.158 0.658 0.842
Si2 0.658 0.842 0.158
Si3 0.842 0.158 0.658
Si4 0.342 0.342 0.342
La1 0.138 0.862 0.362
La2 0.862 0.362 0.138
La3 0.362 0.138 0.862
La4 0.638 0.638 0.638
Ir1 0.073 0.427 0.573
Ir2 0.573 0.073 0.427
Ir3 0.427 0.573 0.073
Ir4 0.927 0.927 0.927


7.
DFT (meta-GGA r2SCAN) results for crystalline La3Sn13Ir4 at its relaxed geometry.

Calculated values
total energy	-31.600	eV/atom
formation enthalpy at 0 K	-0.5813	eV/atom

Cell lengths 9.823, 9.823, 9.823 Å; angles 90.00, 90.00, 90.00 degrees
Atoms (fractional coordinates):
Sn1 0.000 0.306 0.153
Sn2 0.347 0.805 0.500
Sn3 0.000 0.694 0.153
Sn4 0.153 0.000 0.305
Sn5 0.847 0.000 0.694
Sn6 0.653 0.805 0.500
Sn7 0.805 0.500 0.653
Sn8 0.000 0.000 0.000
Sn9 0.306 0.153 0.000
Sn10 0.653 0.195 0.500
Sn11 0.500 0.347 0.806
Sn12 0.195 0.500 0.347
Sn13 0.500 0.653 0.194
Sn14 0.000 0.694 0.847
Sn15 0.500 0.653 0.806
Sn16 0.347 0.194 0.500
Sn17 0.694 0.847 0.000
Sn18 0.500 0.500 0.500
Sn19 0.195 0.500 0.653
Sn20 0.306 0.847 0.000
Sn21 0.805 0.500 0.347
Sn22 0.153 0.000 0.694
Sn23 0.694 0.153 0.000
Sn24 0.847 0.000 0.306
Sn25 0.500 0.347 0.194
Sn26 0.000 0.306 0.847
Ir1 0.750 0.250 0.750
Ir2 0.750 0.750 0.250
Ir3 0.250 0.250 0.250
Ir4 0.750 0.250 0.250
Ir5 0.250 0.750 0.250
Ir6 0.250 0.250 0.750
Ir7 0.250 0.750 0.750
Ir8 0.750 0.750 0.750
La1 0.000 0.250 0.500
La2 0.250 0.500 0.000
La3 0.500 0.000 0.750
La4 0.500 0.000 0.250
La5 0.000 0.750 0.500
La6 0.750 0.500 0.000


8.
DFT (meta-GGA r2SCAN) results for crystalline LaSnIr at its relaxed geometry.

Calculated values
total energy	-36.528	eV/atom
formation enthalpy at 0 K	-0.9111	eV/atom

Cell lengths 7.515, 7.515, 4.243 Å; angles 90.00, 90.00, 120.00 degrees
Atoms (fractional coordinates):
Sn1 0.754 0.754 0.500
Sn2 0.246 0.000 0.500
Sn3 0.000 0.246 0.500
Ir1 0.000 0.000 0.000
Ir2 0.333 0.667 0.500
Ir3 0.667 0.333 0.500
La1 0.000 0.584 0.000
La2 0.584 0.000 0.000
La3 0.416 0.416 0.000


9.
DFT (meta-GGA r2SCAN) results for crystalline LiIr at its relaxed geometry.

Calculated values
total energy	-27.657	eV/atom
formation enthalpy at 0 K	-0.2841	eV/atom

Cell lengths 2.653, 2.653, 4.355 Å; angles 90.00, 90.00, 120.00 degrees
Atoms (fractional coordinates):
Li1 0.333 0.667 0.500
Ir1 0.000 0.000 0.000


10.
DFT (meta-GGA r2SCAN) results for crystalline LiIr3 at its relaxed geometry.

Calculated values
total energy	-40.086	eV/atom
formation enthalpy at 0 K	-0.2201	eV/atom

Cell lengths 2.683, 4.666, 5.129 Å; angles 117.04, 105.20, 89.99 degrees
Atoms (fractional coordinates):
Ir1 0.760 0.453 0.519
Ir2 0.241 0.934 0.481
Ir3 0.501 0.501 0.000
Li1 0.999 0.017 0.000


11.
DFT (meta-GGA r2SCAN) results for crystalline LiMg2Ir at its relaxed geometry.

Calculated values
total energy	-16.140	eV/atom
formation enthalpy at 0 K	-0.3689	eV/atom

Cell lengths 4.461, 4.461, 4.461 Å; angles 60.00, 60.00, 60.00 degrees
Atoms (fractional coordinates):
Li1 0.000 0.000 0.000
Ir1 0.500 0.500 0.500
Mg1 0.250 0.250 0.250
Mg2 0.750 0.750 0.750


12.
DFT (meta-GGA r2SCAN) results for crystalline Li8IrO6 at its relaxed geometry.

Calculated values
total energy	-8.997	eV/atom
formation enthalpy at 0 K	-1.8442	eV/atom

Cell lengths 5.861, 5.861, 5.861 Å; angles 54.77, 54.77, 54.77 degrees
Atoms (fractional coordinates):
O1 0.237 0.909 0.613
O2 0.387 0.763 0.091
O3 0.091 0.387 0.763
O4 0.613 0.237 0.909
O5 0.763 0.091 0.387
O6 0.909 0.613 0.237
Ir1 0.000 0.000 0.000
Li1 0.765 0.485 0.101
Li2 0.899 0.235 0.515
Li3 0.101 0.765 0.485
Li4 0.485 0.101 0.765
Li5 0.515 0.899 0.235
Li6 0.659 0.659 0.659
Li7 0.341 0.341 0.341
Li8 0.235 0.515 0.899